First-principles (PBE) data for K2NaPdF6 after structural relaxation, as listed in the Materials Project database. Values from VASP.

```
&SYSTEM
  ibrav = 0, nat = 10, ntyp = 4
/
ATOMIC_SPECIES
K 39.10 K.upf
F 19.00 F.upf
Na 22.99 Na.upf
Pd 106.42 Pd.upf
ATOMIC_POSITIONS crystal
K 0.250 0.750 0.500
K 0.750 0.250 0.500
F 0.765 0.235 0.000
F 0.247 0.247 0.000
F 0.765 0.765 0.531
F 0.235 0.765 0.000
F 0.235 0.235 0.469
F 0.753 0.753 0.000
Na 0.500 0.500 0.000
Pd 0.000 0.000 0.000
CELL_PARAMETERS angstrom
-2.996 2.996 4.458
2.996 -2.996 4.458
2.996 2.996 -4.458
```

Properties
Theoretical density   3.34 Mg/m³
Total magnetic moment   1.0 μB per formula unit
ΔE_f   -25.0 eV per formula unit
Calculated total energy   -0.312 Ry/atom
Space-group type   I4/mmm (139)